Record 1
Rb2PH3SeO8: relaxed, PBE.

```
30
Lattice="7.745 0.000 0.000 0.000 7.804 0.000 -6.249 0.000 7.780" Properties=species:S:1:pos:R:3 pbc="T T T"
Rb 0.000 0.502 0.000
Rb -3.124 7.302 3.890
Rb -1.063 3.392 3.326
Rb -4.187 4.412 7.216
P 3.020 3.453 3.604
P -0.104 4.351 7.494
H -1.302 2.737 6.504
H 1.823 5.067 2.613
H 3.437 2.045 1.842
H 0.313 5.759 5.732
H 1.966 1.774 4.663
H 5.090 6.030 0.772
Se -2.410 0.493 7.529
Se 0.715 7.311 3.639
O -0.364 0.594 2.999
O -3.489 7.210 6.889
O 2.980 1.709 0.553
O -0.144 6.095 4.444
O -1.523 1.225 6.300
O 1.601 6.579 2.410
O -1.163 3.764 6.465
O 1.962 4.040 2.575
O 1.770 0.246 4.719
O 4.894 7.558 0.829
O 3.756 2.297 2.835
O 2.195 2.771 4.779
O 5.319 5.033 0.889
O 0.632 5.507 6.725
O 7.076 3.333 0.286
O 3.952 4.471 4.176
```

Largest piezoelectric modulus: 0.116 C/m2
Total DFT energy (no corrections): -5.5519 eV per atom
Magnetic moment: 0.00 μB/cell
Energy relative to the lowest polymorph listed for this composition: 0 meV/atom
Energy of formation: -1876.2 meV/atom
E (MP2020): -177.55 eV per cell

=====

Record 2
Sc4FeCl5: relaxed, PBE.

```
80
Lattice="10.731 0.000 0.000 0.000 10.731 0.000 0.000 0.000 15.515" Properties=species:S:1:pos:R:3 pbc="T T T"
Sc 0.821 1.435 2.685
Sc 0.821 3.930 5.072
Sc 1.249 6.614 13.112
Sc 1.249 9.482 10.160
Sc 1.435 0.821 12.829
Sc 1.435 4.544 10.443
Sc 1.469 6.835 8.110
Sc 1.469 9.262 15.162
Sc 3.896 6.835 15.162
Sc 3.896 9.262 8.110
Sc 3.930 0.821 10.443
Sc 3.930 4.544 12.829
Sc 4.117 6.614 10.160
Sc 4.117 9.482 13.112
Sc 4.544 1.435 5.072
Sc 4.544 3.930 2.685
Sc 6.187 6.801 12.829
Sc 6.187 9.296 10.443
Sc 6.614 1.249 2.403
Sc 6.614 4.117 5.355
Sc 6.801 6.187 2.685
Sc 6.801 9.910 5.072
Sc 6.835 1.469 7.405
Sc 6.835 3.896 0.352
Sc 9.262 1.469 0.352
Sc 9.262 3.896 7.405
Sc 9.296 6.187 5.072
Sc 9.296 9.910 2.685
Sc 9.482 1.249 5.355
Sc 9.482 4.117 2.403
Sc 9.910 6.801 10.443
Sc 9.910 9.296 12.829
Fe 1.607 6.972 10.570
Fe 1.607 9.124 12.702
Fe 3.759 6.972 12.702
Fe 3.759 9.124 10.570
Fe 6.972 1.607 4.944
Fe 6.972 3.759 2.813
Fe 9.124 1.607 2.813
Fe 9.124 3.759 4.944
Cl 1.125 6.491 5.258
Cl 1.125 9.606 2.499
Cl 1.236 1.236 0.000
Cl 1.236 4.130 7.757
Cl 1.372 6.738 0.284
Cl 1.372 9.359 7.474
Cl 1.398 1.559 10.308
Cl 1.398 3.807 12.965
Cl 1.559 1.398 5.207
Cl 1.559 3.968 2.550
Cl 3.807 1.398 2.550
Cl 3.807 3.968 5.207
Cl 3.968 1.559 12.965
Cl 3.968 3.807 10.308
Cl 3.993 6.738 7.474
Cl 3.993 9.359 0.284
Cl 4.130 1.236 7.757
Cl 4.130 4.130 0.000
Cl 4.240 6.491 2.499
Cl 4.240 9.606 5.258
Cl 6.491 1.125 10.257
Cl 6.491 4.240 13.016
Cl 6.601 6.601 0.000
Cl 6.601 9.495 7.757
Cl 6.738 1.372 15.231
Cl 6.738 3.993 8.041
Cl 6.763 6.924 5.207
Cl 6.763 9.172 2.550
Cl 6.924 6.763 10.308
Cl 6.924 9.333 12.965
Cl 9.172 6.763 12.965
Cl 9.172 9.333 10.308
Cl 9.333 6.924 2.550
Cl 9.333 9.172 5.207
Cl 9.359 1.372 8.041
Cl 9.359 3.993 15.231
Cl 9.495 6.601 7.757
Cl 9.495 9.495 0.000
Cl 9.606 1.125 13.016
Cl 9.606 4.240 10.257
```

Total DFT energy (no corrections): -5.8463 eV per atom
Magnetic moment: 0.09 μB/cell
Energy of formation: -1849.1 meV/atom
E (MP2020): -492.27 eV per cell

=====

Record 3
Sr2YTi2AlO7: relaxed, PBE.

```
26
Lattice="-11.466 2.830 2.758 11.466 -2.830 2.758 11.466 2.830 -2.758" Properties=species:S:1:pos:R:3 pbc="T T T"
Sr 3.597 0.135 0.000
Sr 7.869 0.135 0.000
Sr 3.597 2.695 2.758
Sr 7.869 2.695 2.758
Y 0.000 0.000 0.033
Y 11.466 0.000 0.033
Ti 1.422 -0.004 2.790
Ti 10.044 -0.004 2.790
Ti 1.422 2.834 0.032
Ti 10.044 2.834 0.032
Al 5.733 -0.413 2.662
Al 5.733 3.243 -0.096
O 5.733 -0.901 0.909
O 9.917 1.446 -1.376
O 13.062 1.392 -1.322
O 9.871 -1.438 1.436
O 13.016 -1.384 1.382
O 17.200 0.901 0.909
O 4.169 2.490 0.211
O 7.298 2.490 0.211
O 1.549 1.384 1.382
O 9.917 1.384 1.382
O -1.595 1.438 1.436
O 13.062 1.438 1.436
O 4.169 0.340 2.969
O 7.298 0.340 2.969
```

Total DFT energy (no corrections): -7.8018 eV per atom
Magnetic moment: 0.01 μB/cell
Energy of formation: -3247.3 meV/atom
E (MP2020): -212.47 eV per cell